# NaCu5Sb2As6H18O34 (PBE, relaxed)
data_NaCu5Sb2As6H18O34
_chemical_formula_sum 'Na1 Cu5 Sb2 As6 H18 O34'
_symmetry_space_group_name_H-M 'P 1'
_symmetry_Int_Tables_number 1
_cell_length_a 7.1773
_cell_length_b 10.0258
_cell_length_c 10.9914
_cell_angle_alpha 107.70
_cell_angle_beta 104.31
_cell_angle_gamma 93.91
loop_
_symmetry_equiv_pos_as_xyz
'x,y,z'
loop_
_atom_site_label
_atom_site_fract_x
_atom_site_fract_y
_atom_site_fract_z
Na1 0.0000 0.0000 0.0000
Cu1 0.0000 0.5000 0.5000
Cu2 0.0778 0.3890 0.1811
Cu3 0.5000 0.5000 0.0000
Cu4 0.5000 0.5000 0.5000
Cu5 0.9222 0.6110 0.8189
Sb1 0.0000 0.0000 0.5000
Sb2 0.5000 0.0000 0.5000
As1 0.1609 0.7046 0.3505
As2 0.2067 0.1979 0.3520
As3 0.3527 0.6458 0.7729
As4 0.6473 0.3542 0.2271
As5 0.7933 0.8021 0.6480
As6 0.8391 0.2954 0.6495
H1 0.0550 0.3698 0.9367
H2 0.1823 0.0290 0.8089
H3 0.1880 0.2575 0.9728
H4 0.2837 0.2913 0.7722
H5 0.3102 0.7977 0.0366
H6 0.3160 0.9046 0.1758
H7 0.3453 0.0546 0.9396
H8 0.4650 0.8526 0.7457
H9 0.4973 0.3062 0.7614
H10 0.5027 0.6938 0.2386
H11 0.5350 0.1474 0.2543
H12 0.6547 0.9454 0.0604
H13 0.6840 0.0954 0.8242
H14 0.6898 0.2023 0.9634
H15 0.7163 0.7087 0.2278
H16 0.8120 0.7425 0.0272
H17 0.8177 0.9710 0.1911
H18 0.9450 0.6302 0.0633
O1 0.0087 0.0961 0.3654
O2 0.0210 0.1868 0.6461
O3 0.0953 0.5888 0.1919
O4 0.1035 0.5854 0.6948
O5 0.1341 0.2043 0.1949
O6 0.1569 0.3546 0.0096
O7 0.2054 0.6356 0.4755
O8 0.2261 0.0878 0.9030
O9 0.2598 0.8830 0.0808
O10 0.2772 0.3540 0.4804
O11 0.2825 0.0248 0.5766
O12 0.3741 0.8102 0.3587
O13 0.3866 0.6416 0.9317
O14 0.3942 0.0911 0.3568
O15 0.3950 0.8318 0.8067
O16 0.4103 0.3532 0.8114
O17 0.4867 0.4260 0.3103
O18 0.5133 0.5740 0.6897
O19 0.5897 0.6468 0.1886
O20 0.6050 0.1682 0.1933
O21 0.6058 0.9089 0.6432
O22 0.6134 0.3584 0.0683
O23 0.6259 0.1898 0.6413
O24 0.7175 0.9752 0.4234
O25 0.7228 0.6460 0.5196
O26 0.7402 0.1170 0.9192
O27 0.7739 0.9122 0.0970
O28 0.7946 0.3644 0.5245
O29 0.8431 0.6454 0.9904
O30 0.8659 0.7957 0.8051
O31 0.8965 0.4146 0.3052
O32 0.9047 0.4112 0.8081
O33 0.9790 0.8132 0.3539
O34 0.9913 0.9039 0.6346
# - MP2020-corrected energy: -380.62 eV/cell
# - SG: P-1 (2)
# - ΔH_f (0 K): -32.60 kcal/mol of atoms
# - M_tot: 4.00 Bohr magnetons per cell

=====

# CuAs4H10O16 (PBE, relaxed)
data_CuAs4H10O16
_chemical_formula_sum 'Cu1 As4 H10 O16'
_symmetry_space_group_name_H-M 'P 1'
_symmetry_Int_Tables_number 1
_cell_length_a 5.4720
_cell_length_b 7.7151
_cell_length_c 8.6247
_cell_angle_alpha 107.78
_cell_angle_beta 98.55
_cell_angle_gamma 92.94
loop_
_symmetry_equiv_pos_as_xyz
'x,y,z'
loop_
_atom_site_label
_atom_site_fract_x
_atom_site_fract_y
_atom_site_fract_z
Cu1 0.0000 0.0000 0.0000
As1 0.0343 0.2818 0.6989
As2 0.4214 0.8152 0.7975
As3 0.5786 0.1848 0.2025
As4 0.9657 0.7182 0.3011
H1 0.0150 0.4084 0.2237
H2 0.1103 0.1074 0.4416
H3 0.3139 0.2840 0.9258
H4 0.4089 0.9610 0.2961
H5 0.4239 0.4524 0.3356
H6 0.5761 0.5476 0.6644
H7 0.5911 0.0390 0.7039
H8 0.6861 0.7160 0.0742
H9 0.8897 0.8926 0.5584
H10 0.9850 0.5916 0.7763
O1 0.1204 0.2415 0.5057
O2 0.1287 0.9032 0.2881
O3 0.1316 0.5264 0.2745
O4 0.1407 0.7945 0.8592
O5 0.2954 0.3645 0.8528
O6 0.3251 0.1511 0.0488
O7 0.4161 0.9796 0.6965
O8 0.4190 0.6044 0.6465
O9 0.5810 0.3956 0.3535
O10 0.5839 0.0204 0.3035
O11 0.6749 0.8489 0.9512
O12 0.7046 0.6355 0.1472
O13 0.8593 0.2055 0.1408
O14 0.8684 0.4736 0.7256
O15 0.8713 0.0968 0.7119
O16 0.8796 0.7585 0.4943
# - MP2020-corrected energy: -179.06 eV/cell
# - SG: P-1 (2)
# - ΔH_f (0 K): -32.16 kcal/mol of atoms
# - M_tot: 1.00 Bohr magnetons per cell

=====

# U2CuAs2H16O20 (PBE, relaxed)
data_U2CuAs2H16O20
_chemical_formula_sum 'U4 Cu2 As4 H32 O40'
_symmetry_space_group_name_H-M 'P 1'
_symmetry_Int_Tables_number 1
_cell_length_a 7.1661
_cell_length_b 7.1661
_cell_length_c 17.6842
_cell_angle_alpha 90.00
_cell_angle_beta 90.00
_cell_angle_gamma 90.00
loop_
_symmetry_equiv_pos_as_xyz
'x,y,z'
loop_
_atom_site_label
_atom_site_fract_x
_atom_site_fract_y
_atom_site_fract_z
U1 0.2500 0.2500 0.0553
U2 0.2500 0.2500 0.5563
U3 0.7500 0.7500 0.4437
U4 0.7500 0.7500 0.9447
Cu1 0.2500 0.2500 0.8108
Cu2 0.7500 0.7500 0.1892
As1 0.2500 0.7500 0.0000
As2 0.2500 0.7500 0.5000
As3 0.7500 0.2500 0.0000
As4 0.7500 0.2500 0.5000
H1 0.0354 0.2220 0.3031
H2 0.0685 0.6259 0.6470
H3 0.0699 0.8683 0.2340
H4 0.0751 0.8433 0.1442
H5 0.1259 0.9315 0.3530
H6 0.1317 0.5699 0.7660
H7 0.1567 0.5751 0.8558
H8 0.2220 0.4646 0.3031
H9 0.2780 0.0354 0.3031
H10 0.3433 0.9249 0.8558
H11 0.3683 0.9301 0.7660
H12 0.3741 0.5685 0.3530
H13 0.4249 0.6567 0.1442
H14 0.4301 0.6317 0.2340
H15 0.4315 0.8741 0.6470
H16 0.4646 0.2780 0.3031
H17 0.5354 0.7220 0.6969
H18 0.5685 0.1259 0.3530
H19 0.5699 0.3683 0.7660
H20 0.5751 0.3433 0.8558
H21 0.6259 0.4315 0.6470
H22 0.6317 0.0699 0.2340
H23 0.6567 0.0751 0.1442
H24 0.7220 0.9646 0.6969
H25 0.7780 0.5354 0.6969
H26 0.8433 0.4249 0.1442
H27 0.8683 0.4301 0.2340
H28 0.8741 0.0685 0.6470
H29 0.9249 0.1567 0.8558
H30 0.9301 0.1317 0.7660
H31 0.9315 0.3741 0.3530
H32 0.9646 0.7780 0.6969
O1 0.0026 0.6439 0.6956
O2 0.0252 0.7860 0.1910
O3 0.0671 0.6907 0.9416
O4 0.0667 0.8009 0.4407
O5 0.1439 0.9974 0.3044
O6 0.1907 0.9329 0.0584
O7 0.1991 0.5667 0.5593
O8 0.2140 0.5252 0.8090
O9 0.2500 0.2500 0.1576
O10 0.2500 0.2500 0.4538
O11 0.2500 0.2500 0.6596
O12 0.2500 0.2500 0.9519
O13 0.2860 0.9748 0.8090
O14 0.3009 0.9333 0.5593
O15 0.3093 0.5671 0.0584
O16 0.3561 0.5026 0.3044
O17 0.4333 0.6991 0.4407
O18 0.4329 0.8093 0.9416
O19 0.4748 0.7140 0.1910
O20 0.4974 0.8561 0.6956
O21 0.5026 0.1439 0.3044
O22 0.5252 0.2860 0.8090
O23 0.5671 0.1907 0.0584
O24 0.5667 0.3009 0.5593
O25 0.6439 0.4974 0.6956
O26 0.6907 0.4329 0.9416
O27 0.6991 0.0667 0.4407
O28 0.7140 0.0252 0.1910
O29 0.7500 0.7500 0.0481
O30 0.7500 0.7500 0.3404
O31 0.7500 0.7500 0.5462
O32 0.7500 0.7500 0.8424
O33 0.7860 0.4748 0.1910
O34 0.8009 0.4333 0.4407
O35 0.8093 0.0671 0.9416
O36 0.8561 0.0026 0.6956
O37 0.9333 0.1991 0.5593
O38 0.9329 0.3093 0.0584
O39 0.9748 0.2140 0.8090
O40 0.9974 0.3561 0.3044
# - MP2020-corrected energy: -525.29 eV/cell
# - SG: P4/n (85)
# - ΔH_f (0 K): -41.28 kcal/mol of atoms
# - M_tot: 1.24 Bohr magnetons per cell

=====

# ZnCuAsHO5 (PBE, relaxed)
data_ZnCuAsHO5
_chemical_formula_sum 'Zn4 Cu4 As4 H4 O20'
_symmetry_space_group_name_H-M 'P 1'
_symmetry_Int_Tables_number 1
_cell_length_a 8.6833
_cell_length_b 8.7511
_cell_length_c 6.0151
_cell_angle_alpha 90.00
_cell_angle_beta 90.00
_cell_angle_gamma 90.00
loop_
_symmetry_equiv_pos_as_xyz
'x,y,z'
loop_
_atom_site_label
_atom_site_fract_x
_atom_site_fract_y
_atom_site_fract_z
Zn1 0.1393 0.1245 0.0000
Zn2 0.3607 0.6245 0.5000
Zn3 0.6393 0.3755 0.5000
Zn4 0.8607 0.8755 0.0000
Cu1 0.0000 0.5000 0.2498
Cu2 0.0000 0.5000 0.7502
Cu3 0.5000 0.0000 0.2502
Cu4 0.5000 0.0000 0.7498
As1 0.2353 0.7462 0.0000
As2 0.2647 0.2462 0.5000
As3 0.7353 0.7538 0.5000
As4 0.7647 0.2538 0.0000
H1 0.0702 0.7011 0.5000
H2 0.4298 0.2011 0.0000
H3 0.5702 0.7989 0.0000
H4 0.9298 0.2989 0.5000
O1 0.1044 0.8951 0.0000
O2 0.1160 0.5983 0.5000
O3 0.1295 0.5759 0.0000
O4 0.1468 0.2566 0.2720
O5 0.1468 0.2566 0.7280
O6 0.3532 0.7566 0.2280
O7 0.3532 0.7566 0.7720
O8 0.3705 0.0759 0.5000
O9 0.3840 0.0983 0.0000
O10 0.3956 0.3951 0.5000
O11 0.6044 0.6049 0.5000
O12 0.6160 0.9017 0.0000
O13 0.6295 0.9241 0.5000
O14 0.6468 0.2434 0.2280
O15 0.6468 0.2434 0.7720
O16 0.8532 0.7434 0.2720
O17 0.8532 0.7434 0.7280
O18 0.8705 0.4241 0.0000
O19 0.8840 0.4017 0.5000
O20 0.8956 0.1049 0.0000
# - MP2020-corrected energy: -206.25 eV/cell
# - SG: Pnnm (58)
# - ΔH_f (0 K): -34.36 kcal/mol of atoms
# - M_tot: 4.00 Bohr magnetons per cell